(1)
Density functional theory data (PBE with a Hubbard U) for a relaxed Li3Fe4P9O32 crystal.

Geometry as CIF:
```
data_Li3Fe4P9O32
_chemical_formula_sum 'Li6 Fe8 P18 O64'
_cell_length_a 13.945
_cell_length_b 13.945
_cell_length_c 6.366
_cell_angle_alpha 90.00
_cell_angle_beta 90.00
_cell_angle_gamma 90.00
_space_group_name_H-M_alt 'P 1'
_space_group_IT_number 1
loop_
_space_group_symop_operation_xyz
'x,y,z'
loop_
_atom_site_label
_atom_site_fract_x
_atom_site_fract_y
_atom_site_fract_z
_atom_site_occupancy
Li1 0.000 0.000 0.000 1
Li2 0.000 0.500 0.144 1
Li3 0.000 0.500 0.644 1
Li4 0.500 0.000 0.356 1
Li5 0.500 0.000 0.856 1
Li6 0.500 0.500 0.500 1
Fe1 0.121 0.197 0.624 1
Fe2 0.197 0.879 0.376 1
Fe3 0.303 0.379 0.124 1
Fe4 0.379 0.697 0.876 1
Fe5 0.621 0.303 0.876 1
Fe6 0.697 0.621 0.124 1
Fe7 0.803 0.121 0.376 1
Fe8 0.879 0.803 0.624 1
P1 0.000 0.000 0.500 1
P2 0.059 0.696 0.386 1
P3 0.107 0.246 0.134 1
P4 0.196 0.559 0.886 1
P5 0.246 0.893 0.866 1
P6 0.254 0.393 0.634 1
P7 0.304 0.059 0.614 1
P8 0.393 0.746 0.366 1
P9 0.441 0.196 0.114 1
P10 0.500 0.500 0.000 1
P11 0.559 0.804 0.114 1
P12 0.607 0.254 0.366 1
P13 0.696 0.941 0.614 1
P14 0.746 0.607 0.634 1
P15 0.754 0.107 0.866 1
P16 0.804 0.441 0.886 1
P17 0.893 0.754 0.134 1
P18 0.941 0.304 0.386 1
O1 0.004 0.724 0.170 1
O2 0.009 0.746 0.572 1
O3 0.055 0.587 0.400 1
O4 0.061 0.063 0.651 1
O5 0.063 0.939 0.349 1
O6 0.087 0.555 0.900 1
O7 0.107 0.188 0.933 1
O8 0.135 0.180 0.318 1
O9 0.160 0.337 0.625 1
O10 0.160 0.739 0.360 1
O11 0.163 0.340 0.125 1
O12 0.180 0.865 0.682 1
O13 0.188 0.893 0.067 1
O14 0.224 0.504 0.670 1
O15 0.239 0.660 0.860 1
O16 0.246 0.509 0.072 1
O17 0.254 0.009 0.428 1
O18 0.261 0.160 0.640 1
O19 0.276 0.004 0.830 1
O20 0.312 0.393 0.433 1
O21 0.320 0.365 0.818 1
O22 0.337 0.840 0.375 1
O23 0.340 0.239 0.140 1
O24 0.340 0.837 0.875 1
O25 0.365 0.680 0.182 1
O26 0.393 0.688 0.567 1
O27 0.413 0.055 0.600 1
O28 0.437 0.439 0.151 1
O29 0.439 0.563 0.849 1
O30 0.445 0.087 0.100 1
O31 0.491 0.246 0.928 1
O32 0.496 0.224 0.330 1
O33 0.504 0.776 0.330 1
O34 0.509 0.754 0.928 1
O35 0.555 0.913 0.100 1
O36 0.561 0.437 0.849 1
O37 0.563 0.561 0.151 1
O38 0.587 0.945 0.600 1
O39 0.607 0.312 0.567 1
O40 0.635 0.320 0.182 1
O41 0.660 0.163 0.875 1
O42 0.660 0.761 0.140 1
O43 0.663 0.160 0.375 1
O44 0.680 0.635 0.818 1
O45 0.688 0.607 0.433 1
O46 0.724 0.996 0.830 1
O47 0.739 0.840 0.640 1
O48 0.746 0.991 0.428 1
O49 0.754 0.491 0.072 1
O50 0.761 0.340 0.860 1
O51 0.776 0.496 0.670 1
O52 0.812 0.107 0.067 1
O53 0.820 0.135 0.682 1
O54 0.837 0.660 0.125 1
O55 0.840 0.261 0.360 1
O56 0.840 0.663 0.625 1
O57 0.865 0.820 0.318 1
O58 0.893 0.812 0.933 1
O59 0.913 0.445 0.900 1
O60 0.937 0.061 0.349 1
O61 0.939 0.937 0.651 1
O62 0.945 0.413 0.400 1
O63 0.991 0.254 0.572 1
O64 0.996 0.276 0.170 1
```

Symmetry: P-42_1c, No. 114

---

(2)
Density functional theory data (PBE with a Hubbard U) for a relaxed Li9Mn2Co5O16 crystal.

Geometry as CIF:
```
data_Li9Mn2Co5O16
_chemical_formula_sum 'Li9 Mn2 Co5 O16'
_cell_length_a 6.442
_cell_length_b 6.456
_cell_length_c 7.859
_cell_angle_alpha 66.08
_cell_angle_beta 87.51
_cell_angle_gamma 71.81
_space_group_name_H-M_alt 'P 1'
_space_group_IT_number 1
loop_
_space_group_symop_operation_xyz
'x,y,z'
loop_
_atom_site_label
_atom_site_fract_x
_atom_site_fract_y
_atom_site_fract_z
_atom_site_occupancy
Li1 0.000 0.000 0.000 1
Li2 0.062 0.119 0.300 1
Li3 0.188 0.364 0.941 1
Li4 0.318 0.627 0.561 1
Li5 0.444 0.875 0.187 1
Li6 0.580 0.114 0.824 1
Li7 0.694 0.372 0.436 1
Li8 0.814 0.632 0.055 1
Li9 0.938 0.873 0.685 1
Mn1 0.127 0.244 0.627 1
Mn2 0.256 0.501 0.243 1
Co1 0.381 0.748 0.871 1
Co2 0.506 0.997 0.497 1
Co3 0.633 0.245 0.122 1
Co4 0.760 0.490 0.758 1
Co5 0.876 0.754 0.364 1
O1 0.032 0.535 0.665 1
O2 0.129 0.670 0.989 1
O3 0.155 0.785 0.290 1
O4 0.228 0.955 0.583 1
O5 0.278 0.062 0.872 1
O6 0.358 0.201 0.215 1
O7 0.393 0.309 0.510 1
O8 0.483 0.456 0.836 1
O9 0.526 0.545 0.160 1
O10 0.612 0.704 0.466 1
O11 0.650 0.798 0.778 1
O12 0.718 0.949 0.097 1
O13 0.778 0.039 0.411 1
O14 0.855 0.204 0.707 1
O15 0.891 0.310 0.035 1
O16 0.991 0.438 0.356 1
```

E above lowest polymorph in eV/atom: 0.056
Symmetry: P1, No. 1

---

(3)
Density functional theory data (PBE with a Hubbard U) for a relaxed NaLiV4O12 crystal.

Geometry as CIF:
```
data_NaLiV4O12
_chemical_formula_sum 'Na1 Li1 V4 O12'
_cell_length_a 5.290
_cell_length_b 5.290
_cell_length_c 7.486
_cell_angle_alpha 90.00
_cell_angle_beta 90.00
_cell_angle_gamma 90.05
_space_group_name_H-M_alt 'P 1'
_space_group_IT_number 1
loop_
_space_group_symop_operation_xyz
'x,y,z'
loop_
_atom_site_label
_atom_site_fract_x
_atom_site_fract_y
_atom_site_fract_z
_atom_site_occupancy
Na1 0.000 0.000 0.000 1
Li1 0.500 0.500 0.500 1
V1 0.000 0.500 0.251 1
V2 0.000 0.500 0.749 1
V3 0.500 0.000 0.251 1
V4 0.500 0.000 0.749 1
O1 0.000 0.500 0.000 1
O2 0.000 0.500 0.500 1
O3 0.240 0.760 0.250 1
O4 0.240 0.760 0.750 1
O5 0.261 0.261 0.251 1
O6 0.261 0.261 0.749 1
O7 0.500 0.000 0.000 1
O8 0.500 0.000 0.500 1
O9 0.739 0.739 0.251 1
O10 0.739 0.739 0.749 1
O11 0.760 0.240 0.250 1
O12 0.760 0.240 0.750 1
```

Symmetry: Cmmm, No. 65

---

no.,mass density (kg/m3),formation energy from the elements (meV per atom)
1,2776,-2323
2,4249,-1808
3,3375,-2036